1.
A geometry-optimized Ce3Sb4Pt3 structure, computed with GGA-PBE.

## Properties
energy: -6.325 eV per atom
theoretical density: 10.29 g cm⁻³
ΔH_f (0 K): -1.072 eV per atom
crystal system: cubic
V: 482 Å³/cell

abc: 8.5526 8.5526 8.5526
angles: 109.47 109.47 109.47
Fractional coordinates of all 20 atoms:
Ce 0.1250 0.8750 0.2500
Ce 0.2500 0.1250 0.8750
Ce 0.3750 0.6250 0.7500
Ce 0.6250 0.7500 0.3750
Ce 0.7500 0.3750 0.6250
Ce 0.8750 0.2500 0.1250
Sb 0.0000 0.1647 0.5000
Sb 0.0000 0.6647 0.5000
Sb 0.1647 0.5000 0.0000
Sb 0.3353 0.3353 0.3353
Sb 0.5000 0.0000 0.1647
Sb 0.5000 0.0000 0.6647
Sb 0.6647 0.5000 0.0000
Sb 0.8353 0.8353 0.8353
Pt 0.1250 0.7500 0.8750
Pt 0.2500 0.6250 0.3750
Pt 0.3750 0.2500 0.6250
Pt 0.6250 0.3750 0.2500
Pt 0.7500 0.8750 0.1250
Pt 0.8750 0.1250 0.7500

***

2.
A geometry-optimized BaCO3 structure, computed with GGA-PBE.

## Properties
energy: -7.434 eV per atom
theoretical density: 4.33 g cm⁻³
ΔH_f (0 K): -2.648 eV per atom
crystal system: monoclinic
V: 151 Å³/cell

abc: 4.6573 5.4344 6.1523
angles: 90.00 103.64 90.00
Fractional coordinates of all 10 atoms:
Ba 0.1228 0.2500 0.2664
Ba 0.8772 0.7500 0.7336
C 0.4968 0.2500 0.7559
C 0.5032 0.7500 0.2441
O 0.2201 0.7500 0.1538
O 0.3592 0.0422 0.7041
O 0.3592 0.4578 0.7041
O 0.6408 0.5422 0.2959
O 0.6408 0.9578 0.2959
O 0.7799 0.2500 0.8462

***

3.
A geometry-optimized Na4ZnGe3P6O24 structure, computed with GGA-PBE.

## Properties
energy: -6.526 eV per atom
theoretical density: 3.39 g cm⁻³
ΔH_f (0 K): -2.442 eV per atom
crystal system: triclinic
V: 1388 Å³/cell

abc: 8.5700 8.5771 21.7884
angles: 90.00 90.02 119.96
Fractional coordinates of all 114 atoms:
Na 0.0000 0.0000 0.0000
Na 0.9999 0.0170 0.5001
Na 0.0256 0.3327 0.4141
Na 0.2915 0.3354 0.9127
Na 0.2964 0.9818 0.4141
Na 0.3239 0.6764 0.8293
Na 0.3324 0.6751 0.3282
Na 0.6572 0.3327 0.6645
Na 0.6657 0.3419 0.1670
Na 0.6741 0.7113 0.4139
Na 0.6752 0.9763 0.9125
Na 0.9580 0.6672 0.5825
Zn 0.9997 0.0025 0.8475
Zn 0.6597 0.3352 0.5217
Zn 0.9987 0.0085 0.3436
Ge 0.3279 0.6761 0.9829
Ge 0.3317 0.6750 0.1852
Ge 0.3334 0.6746 0.4837
Ge 0.3334 0.6755 0.6873
Ge 0.6645 0.3410 0.3111
Ge 0.6658 0.3429 0.0222
Ge 0.6673 0.3433 0.8103
Ge 0.9985 0.0082 0.1491
Ge 0.9993 0.0129 0.6500
P 0.0000 0.3042 0.2489
P 0.0001 0.7149 0.7492
P 0.0429 0.6762 0.0840
P 0.0488 0.3825 0.5856
P 0.2923 0.3031 0.7505
P 0.2932 0.0071 0.2489
P 0.3308 0.3847 0.0835
P 0.3317 0.9636 0.5862
P 0.3770 0.3437 0.4174
P 0.3807 0.0538 0.9185
P 0.6210 0.6809 0.5859
P 0.6223 0.9642 0.0835
P 0.6641 0.0518 0.4175
P 0.6664 0.6258 0.9187
P 0.7030 0.7136 0.2489
P 0.7040 0.0076 0.7505
P 0.9524 0.3509 0.9183
P 0.9564 0.6305 0.4182
O 0.0241 0.8461 0.0910
O 0.0364 0.1966 0.5917
O 0.0379 0.2391 0.3086
O 0.0394 0.8252 0.8063
O 0.1276 0.6384 0.1400
O 0.1398 0.5110 0.6400
O 0.1449 0.5219 0.9248
O 0.1488 0.6451 0.4228
O 0.1520 0.9707 0.5912
O 0.1608 0.1962 0.0906
O 0.1621 0.7143 0.0255
O 0.1629 0.4625 0.5243
O 0.1671 0.6909 0.7399
O 0.1690 0.4931 0.2387
O 0.1871 0.1840 0.4100
O 0.1876 0.2365 0.8099
O 0.1904 0.9693 0.3087
O 0.1969 0.0359 0.9144
O 0.2049 0.0447 0.1923
O 0.2057 0.1779 0.6935
O 0.2862 0.8410 0.5257
O 0.2951 0.4648 0.0236
O 0.3144 0.4927 0.7403
O 0.3138 0.8384 0.2387
O 0.3566 0.8676 0.6412
O 0.3625 0.5216 0.4225
O 0.3681 0.5085 0.1389
O 0.3707 0.8660 0.9253
O 0.4536 0.3063 0.4736
O 0.4679 0.1763 0.9758
O 0.4832 0.1802 0.2539
O 0.4829 0.3204 0.7552
O 0.4859 0.8597 0.4230
O 0.4879 0.6402 0.9245
O 0.4949 0.1455 0.5819
O 0.4992 0.6500 0.6409
O 0.4985 0.8777 0.1389
O 0.5013 0.3881 0.3589
O 0.5021 0.3669 0.0767
O 0.5050 0.1339 0.8610
O 0.5138 0.6935 0.2385
O 0.5145 0.8397 0.7407
O 0.5424 0.8481 0.0237
O 0.5431 0.7165 0.5247
O 0.6189 0.1312 0.3589
O 0.6205 0.5018 0.8611
O 0.6401 0.1531 0.0765
O 0.6469 0.5196 0.5818
O 0.6860 0.1804 0.7548
O 0.6862 0.5237 0.2541
O 0.6941 0.5385 0.9766
O 0.7039 0.1673 0.4735
O 0.7681 0.8165 0.3086
O 0.7717 0.9714 0.8100
O 0.8108 0.9823 0.0905
O 0.8117 0.8549 0.5911
O 0.8234 0.0208 0.4099
O 0.8253 0.8142 0.9148
O 0.8270 0.3216 0.2542
O 0.8267 0.5245 0.7543
O 0.8286 0.0452 0.6934
O 0.8288 0.8020 0.1923
O 0.8297 0.3107 0.9755
O 0.8473 0.5570 0.4763
O 0.8545 0.5050 0.0767
O 0.8665 0.3687 0.5813
O 0.8704 0.3839 0.8598
O 0.8730 0.5043 0.3606
O 0.9623 0.1783 0.1922
O 0.9625 0.7966 0.6897
O 0.9764 0.1863 0.9148
O 0.9851 0.8198 0.4105

***

4.
A geometry-optimized BAu structure, computed with GGA-PBE.

## Properties
energy: -4.136 eV per atom
theoretical density: 10.93 g cm⁻³
ΔH_f (0 K): 0.840 eV per atom
crystal system: hexagonal
V: 63 Å³/cell

abc: 3.5098 3.5098 5.9160
angles: 90.00 90.00 120.00
Fractional coordinates of all 4 atoms:
B 0.3333 0.6667 0.0000
B 0.6667 0.3333 0.5000
Au 0.3333 0.6667 0.6294
Au 0.6667 0.3333 0.1294

***

5.
A geometry-optimized Ru3W3C2 structure, computed with GGA-PBE.

## Properties
energy: -10.183 eV per atom
theoretical density: 14.14 g cm⁻³
ΔH_f (0 K): 0.461 eV per atom
crystal system: trigonal
V: 103 Å³/cell

abc: 2.8619 2.8619 14.5433
angles: 90.00 90.00 120.00
Fractional coordinates of all 8 atoms:
Ru 0.0000 0.0000 0.0000
Ru 0.3333 0.6667 0.8164
Ru 0.6667 0.3333 0.1836
W 0.0000 0.0000 0.5000
W 0.3333 0.6667 0.3358
W 0.6667 0.3333 0.6642
C 0.3333 0.6667 0.0994
C 0.6667 0.3333 0.9006

***

6.
A geometry-optimized PrYMg6 structure, computed with GGA-PBE.

## Properties
energy: -2.711 eV per atom
theoretical density: 3.10 g cm⁻³
ΔH_f (0 K): -0.105 eV per atom
crystal system: trigonal
V: 201 Å³/cell

abc: 9.0651 9.0651 9.0651
angles: 33.40 33.40 33.40
Fractional coordinates of all 8 atoms:
Pr 0.0000 0.0000 0.0000
Y 0.5000 0.5000 0.5000
Mg 0.1256 0.1256 0.1256
Mg 0.2494 0.2494 0.2494
Mg 0.3761 0.3761 0.3761
Mg 0.6239 0.6239 0.6239
Mg 0.7506 0.7506 0.7506
Mg 0.8744 0.8744 0.8744

***

7.
A geometry-optimized USnI6 structure, computed with GGA-PBE.

## Properties
energy: -3.748 eV per atom
theoretical density: 5.11 g cm⁻³
ΔH_f (0 K): -0.977 eV per atom
crystal system: trigonal
V: 727 Å³/cell

abc: 7.6822 7.6822 14.2216
angles: 90.00 90.00 120.00
Fractional coordinates of all 16 atoms:
U 0.0000 0.0000 0.0000
U 0.0000 0.0000 0.5000
Sn 0.3333 0.6667 0.2500
Sn 0.6667 0.3333 0.7500
I 0.0084 0.3261 0.8779
I 0.0084 0.6824 0.6221
I 0.3176 0.3261 0.6221
I 0.3176 0.9916 0.8779
I 0.3261 0.0084 0.3779
I 0.3261 0.3176 0.1221
I 0.6739 0.6824 0.8779
I 0.6739 0.9916 0.6221
I 0.6824 0.0084 0.1221
I 0.6824 0.6739 0.3779
I 0.9916 0.3176 0.3779
I 0.9916 0.6739 0.1221

***

8.
A geometry-optimized SiO2 structure, computed with GGA-PBE.

## Properties
energy: -7.780 eV per atom
theoretical density: 2.15 g cm⁻³
ΔH_f (0 K): -3.131 eV per atom
crystal system: triclinic
V: 371 Å³/cell

abc: 2.8308 11.4420 11.6086
angles: 89.16 83.22 83.46
Fractional coordinates of all 24 atoms:
Si 0.0511 0.1955 0.1947
Si 0.1403 0.5779 0.6477
Si 0.1968 0.1514 0.9251
Si 0.2358 0.3041 0.6940
Si 0.7642 0.6959 0.3060
Si 0.8032 0.8486 0.0749
Si 0.8597 0.4221 0.3523
Si 0.9489 0.8045 0.8053
O 0.0482 0.6711 0.7541
O 0.0994 0.2102 0.0506
O 0.1756 0.4456 0.7007
O 0.1882 0.2579 0.8311
O 0.2148 0.7378 0.3681
O 0.2734 0.9246 0.0922
O 0.3328 0.4032 0.4253
O 0.4393 0.8680 0.7647
O 0.5607 0.1320 0.2353
O 0.6672 0.5968 0.5747
O 0.7266 0.0754 0.9078
O 0.7852 0.2622 0.6319
O 0.8118 0.7421 0.1689
O 0.8244 0.5544 0.2993
O 0.9006 0.7898 0.9494
O 0.9518 0.3289 0.2459

***

9.
A geometry-optimized EuNiGe3 structure, computed with GGA-PBE.

## Properties
energy: -6.510 eV per atom
theoretical density: 7.52 g cm⁻³
ΔH_f (0 K): -0.528 eV per atom
crystal system: tetragonal
V: 189 Å³/cell

abc: 4.3558 4.3558 9.9796
angles: 90.00 90.00 90.00
Fractional coordinates of all 10 atoms:
Eu 0.0000 0.0000 0.0000
Eu 0.5000 0.5000 0.5000
Ni 0.0000 0.0000 0.3458
Ni 0.5000 0.5000 0.8458
Ge 0.0000 0.0000 0.5815
Ge 0.0000 0.5000 0.2470
Ge 0.0000 0.5000 0.7470
Ge 0.5000 0.0000 0.2470
Ge 0.5000 0.0000 0.7470
Ge 0.5000 0.5000 0.0815

***

10.
A geometry-optimized Lu5Rh3 structure, computed with GGA-PBE.

## Properties
energy: -6.400 eV per atom
theoretical density: 11.21 g cm⁻³
ΔH_f (0 K): -0.813 eV per atom
crystal system: hexagonal
V: 351 Å³/cell

abc: 8.1101 8.1101 6.1582
angles: 90.00 90.00 120.00
Fractional coordinates of all 16 atoms:
Lu 0.0000 0.2499 0.2500
Lu 0.0000 0.7501 0.7500
Lu 0.2499 0.0000 0.2500
Lu 0.2499 0.2499 0.7500
Lu 0.3333 0.6667 0.0000
Lu 0.3333 0.6667 0.5000
Lu 0.6667 0.3333 0.0000
Lu 0.6667 0.3333 0.5000
Lu 0.7501 0.0000 0.7500
Lu 0.7501 0.7501 0.2500
Rh 0.0000 0.3998 0.7500
Rh 0.0000 0.6002 0.2500
Rh 0.3998 0.0000 0.7500
Rh 0.3998 0.3998 0.2500
Rh 0.6002 0.0000 0.2500
Rh 0.6002 0.6002 0.7500

***

11.
A geometry-optimized HoBiTe3 structure, computed with GGA-PBE.

## Properties
energy: -4.372 eV per atom
theoretical density: 7.10 g cm⁻³
ΔH_f (0 K): -1.045 eV per atom
crystal system: trigonal
V: 531 Å³/cell

abc: 4.3974 4.3974 31.7064
angles: 90.00 90.00 120.00
Fractional coordinates of all 15 atoms:
Ho 0.0000 0.0000 0.0000
Ho 0.3333 0.6667 0.6667
Ho 0.6667 0.3333 0.3333
Bi 0.0000 0.0000 0.2030
Bi 0.3333 0.6667 0.8696
Bi 0.6667 0.3333 0.5363
Te 0.0000 0.0000 0.3841
Te 0.0000 0.0000 0.6058
Te 0.0000 0.0000 0.8159
Te 0.3333 0.6667 0.0507
Te 0.3333 0.6667 0.2725
Te 0.3333 0.6667 0.4826
Te 0.6667 0.3333 0.1492
Te 0.6667 0.3333 0.7174
Te 0.6667 0.3333 0.9391

***

12.
A geometry-optimized Li3TaF6 structure, computed with GGA-PBE.

## Properties
energy: -5.447 eV per atom
theoretical density: 2.92 g cm⁻³
ΔH_f (0 K): -2.817 eV per atom
crystal system: triclinic
V: 180 Å³/cell

abc: 5.7530 5.9961 6.0130
angles: 94.05 116.04 101.39
Fractional coordinates of all 10 atoms:
Li 0.0000 0.0000 0.0000
Li 0.0000 0.5000 0.5000
Li 0.5000 0.0000 0.5000
Ta 0.5000 0.0000 0.0000
F 0.1802 0.7774 0.6886
F 0.3467 0.1552 0.2228
F 0.4675 0.7699 0.2137
F 0.5325 0.2301 0.7863
F 0.6533 0.8448 0.7772
F 0.8198 0.2226 0.3114